1.
Here is a relaxed NaSmTl2 crystal from Materials Project. Energies are from GGA-PBE.

Values from the calculation:
* energy: -47.2 eV/cell

Cell: 7.665 7.665 7.665 Å, 90.00 90.00 90.00°
Space group Fm-3m (No. 225)
Inequivalent atoms, fractional coordinates:
Na 0.000 0.000 0.000 (multiplicity 4)
Sm 0.000 0.000 0.500 (multiplicity 4)
Tl 0.250 0.250 0.250 (multiplicity 8)



2.
Here is a relaxed DyBi2IO4 crystal from Materials Project. Energies are from GGA-PBE.

Values from the calculation:
* energy: -49.2 eV/cell
* magnetization: 0.00 μB/f.u.
* MP2020-corrected energy: -6.493 eV/atom

Cell: 3.946 3.946 9.707 Å, 90.00 90.00 90.00°
Space group P4/mmm (No. 123)
Inequivalent atoms, fractional coordinates:
Dy 0.000 0.000 0.000 (multiplicity 1)
Bi 0.500 0.500 0.257 (multiplicity 2)
I 0.000 0.000 0.500 (multiplicity 1)
O 0.000 0.500 0.142 (multiplicity 4)



3.
Here is a relaxed Lu3Mg2WS8 crystal from Materials Project. Energies are from GGA-PBE.

Values from the calculation:
* energy: -251.5 eV/cell
* magnetization: 2.99 μB/f.u.
* MP2020-corrected energy: -6.275 eV/atom

Cell: 7.7353 7.7353 18.4918 Å, 90.00 90.00 120.00°
Space group R-3m (No. 166, hexagonal axes)
Inequivalent atoms, fractional coordinates:
Lu 0.0000 0.5000 0.0000 (multiplicity 9)
Mg 0.0000 0.0000 0.1252 (multiplicity 6)
W 0.0000 0.0000 0.5000 (multiplicity 3)
S 0.0000 0.0000 0.2564 (multiplicity 6)
S 0.0241 0.5121 0.2466 (multiplicity 18)



4.
Here is a relaxed NaSm9Si6S2O24 crystal from Materials Project. Energies are from GGA-PBE.

Values from the calculation:
* energy: -668.7 eV/cell
* magnetization: 0.00 μB/f.u.
* MP2020-corrected energy: -8.377 eV/atom

Cell: 9.869 6.779 19.741 Å, 90.00 119.99 90.00°
Space group Pc (No. 7)
Inequivalent atoms, fractional coordinates:
Na 0.000 0.243 0.000 (multiplicity 2)
Sm 0.000 0.243 0.500 (multiplicity 2)
Sm 0.332 0.254 0.833 (multiplicity 2)
Sm 0.335 0.252 0.333 (multiplicity 2)
Sm 0.411 0.498 0.049 (multiplicity 2)
Sm 0.424 0.003 0.171 (multiplicity 2)
Sm 0.658 0.002 0.041 (multiplicity 2)
Sm 0.685 0.499 0.294 (multiplicity 2)
Sm 0.902 0.499 0.157 (multiplicity 2)
Sm 0.918 0.005 0.788 (multiplicity 2)
Si 0.050 0.496 0.374 (multiplicity 2)
Si 0.074 0.002 0.682 (multiplicity 2)
Si 0.253 0.497 0.652 (multiplicity 2)
Si 0.291 0.005 0.463 (multiplicity 2)
Si 0.636 0.002 0.355 (multiplicity 2)
Si 0.696 0.498 0.475 (multiplicity 2)
S 0.661 0.250 0.663 (multiplicity 2)
S 0.672 0.243 0.170 (multiplicity 2)
O 0.028 0.194 0.719 (multiplicity 2)
O 0.029 0.194 0.217 (multiplicity 2)
O 0.061 0.493 0.603 (multiplicity 2)
O 0.144 0.494 0.469 (multiplicity 2)
O 0.173 0.497 0.340 (multiplicity 2)
O 0.183 0.012 0.503 (multiplicity 2)
O 0.195 0.001 0.865 (multiplicity 2)
O 0.269 0.002 0.732 (multiplicity 2)
O 0.306 0.303 0.620 (multiplicity 2)
O 0.319 0.496 0.746 (multiplicity 2)
O 0.325 0.319 0.127 (multiplicity 2)
O 0.406 0.191 0.987 (multiplicity 2)
O 0.408 0.197 0.484 (multiplicity 2)
O 0.508 0.500 0.413 (multiplicity 2)
O 0.536 0.005 0.902 (multiplicity 2)
O 0.560 0.196 0.297 (multiplicity 2)
O 0.569 0.192 0.796 (multiplicity 2)
O 0.746 0.319 0.037 (multiplicity 2)
O 0.760 0.302 0.532 (multiplicity 2)
O 0.795 0.494 0.428 (multiplicity 2)
O 0.823 0.010 0.409 (multiplicity 2)
O 0.926 0.320 0.837 (multiplicity 2)
O 0.935 0.301 0.348 (multiplicity 2)
O 0.994 0.010 0.588 (multiplicity 2)



5.
Here is a relaxed MgH6C2O6 crystal from Materials Project. Energies are from GGA-PBE.

Values from the calculation:
* energy: -354.0 eV/cell
* magnetization: 0.00 μB/f.u.
* MP2020-corrected energy: -6.175 eV/atom

Cell: 7.558 8.755 8.537 Å, 90.00 90.00 90.00°
Space group Pbca (No. 61)
Inequivalent atoms, fractional coordinates:
Mg 0.000 0.000 0.000 (multiplicity 4)
H 0.070 0.173 0.313 (multiplicity 8)
H 0.155 0.007 0.619 (multiplicity 8)
H 0.162 0.616 0.982 (multiplicity 8)
C 0.016 0.238 0.733 (multiplicity 8)
O 0.021 0.100 0.779 (multiplicity 8)
O 0.044 0.720 0.399 (multiplicity 8)
O 0.228 0.531 0.032 (multiplicity 8)



6.
Here is a relaxed Rb4H6C2O9 crystal from Materials Project. Energies are from GGA-PBE.

Values from the calculation:
* energy: -471.4 eV/cell
* magnetization: 0.00 μB/f.u.
* MP2020-corrected energy: -5.906 eV/atom

Cell: 12.634 13.988 7.593 Å, 90.00 120.15 90.00°
Space group C2/c (No. 15)
Inequivalent atoms, fractional coordinates:
Rb 0.000 0.118 0.250 (multiplicity 4)
Rb 0.000 0.188 0.750 (multiplicity 4)
Rb 0.144 0.362 0.541 (multiplicity 8)
H 0.067 0.441 0.845 (multiplicity 8)
H 0.175 0.028 0.622 (multiplicity 8)
H 0.208 0.067 0.036 (multiplicity 8)
C 0.195 0.335 0.156 (multiplicity 8)
O 0.000 0.486 0.750 (multiplicity 4)
O 0.109 0.283 0.150 (multiplicity 8)
O 0.148 0.039 0.071 (multiplicity 8)
O 0.185 0.370 0.988 (multiplicity 8)
O 0.205 0.148 0.669 (multiplicity 8)